246
Lattice="18.420 0.055 -0.071 -4.581 7.928 -0.003 -0.091 -0.060 22.600" Properties=species:S:1:pos:R:3 comment="Na14Zn4In4Si5S7O48 (GGA-PBE, optimized geometry)" total_magnetization_mub_per_fu=0.0 total_energy_ev_per_atom=-5.815 sg="No. 1" vol_a3_per_fu=1102.03 pbc="T T T"
O 11.017 5.018 19.520
S 2.671 5.276 20.676
Na 1.563 7.725 13.298
In 9.361 0.032 3.307
O -0.938 6.482 5.769
Na 3.308 0.075 16.956
Zn 9.177 5.293 7.176
Na 7.468 2.932 16.805
O 14.537 4.200 16.809
O 7.244 5.069 8.122
O 3.659 1.374 5.509
O 5.709 6.455 15.677
O -3.064 7.682 20.647
Na 7.450 7.671 1.735
S 15.233 0.370 1.853
Si 1.791 2.672 1.835
Na 0.040 0.083 22.524
In 0.034 0.098 14.665
Na 0.062 0.078 11.417
Na 10.769 7.821 13.161
O 2.707 7.704 15.684
Zn 13.530 2.478 3.985
O 0.692 7.082 8.226
O 12.970 6.392 13.251
O -1.964 5.053 8.123
O 0.900 1.270 1.924
Si 12.365 0.221 13.062
O 3.829 4.444 11.889
Na 3.341 5.202 9.404
Na 7.793 7.891 16.886
O -1.915 5.562 10.504
O -1.843 5.445 17.042
O -2.697 7.528 4.321
O 14.594 1.086 9.384
Si 1.276 2.418 17.024
O 12.200 2.860 9.439
In 9.358 0.014 14.744
S 3.244 5.643 5.660
O 12.575 1.141 11.732
O -0.747 3.664 5.766
O 1.837 5.438 21.927
O 14.442 6.326 1.888
O 9.840 3.884 17.044
O 12.824 4.139 20.791
O 9.822 3.628 10.679
O 3.744 6.420 13.240
O 14.883 1.259 16.876
O 12.977 1.333 5.526
O 10.228 4.147 1.696
Na 7.594 2.393 9.443
O 1.139 6.807 10.607
O 8.450 3.443 21.824
O 5.430 1.107 9.535
O 12.218 2.425 16.778
O 10.717 0.187 13.146
In 9.050 5.217 0.396
O -0.885 3.817 13.191
O 5.615 1.179 16.844
O 2.906 2.510 16.878
Zn 4.990 7.816 18.951
In 9.104 5.271 11.603
O 10.184 6.768 16.966
Na 9.342 0.042 11.299
O 2.994 2.826 9.448
O 15.543 2.578 5.444
O 5.621 4.018 9.522
O 13.071 0.806 14.423
O 7.545 5.297 1.855
O 11.069 5.504 21.914
O 5.270 3.946 16.756
S 6.409 5.271 9.331
O 15.026 1.176 0.634
O 12.635 4.170 14.264
O 1.005 6.680 16.995
O 3.518 4.197 14.323
S 7.796 2.324 5.646
Si -1.798 7.906 5.656
O 1.745 5.089 13.032
Si 7.819 7.629 20.679
Na 4.495 2.514 7.516
S 7.232 2.621 13.135
Na 6.126 0.249 20.591
In 0.039 5.349 7.176
O 17.298 1.219 13.146
Na 4.459 2.619 18.710
O 17.209 1.547 6.815
O 11.995 2.443 0.512
Zn 4.402 2.594 15.494
O 8.308 1.480 20.524
O 14.647 4.326 0.616
Na 13.561 2.597 18.738
S 7.738 2.838 20.652
S 11.122 7.922 16.925
O 8.082 6.712 22.016
Si 5.883 5.454 16.948
Na 15.032 5.370 20.627
Si 10.550 2.989 9.328
O 5.751 1.065 0.616
Si 3.237 0.285 13.178
Si 16.428 2.649 13.110
O 1.061 1.469 18.331
Si 11.072 2.728 1.820
In 13.701 2.573 15.306
Si -1.393 7.575 20.688
O 10.159 1.361 1.915
O 9.977 7.013 8.105
O -0.713 6.837 19.394
Zn 0.170 0.186 7.874
S -1.486 2.849 20.689
In 9.133 5.283 18.377
O 3.500 6.419 4.424
S 1.880 7.889 16.933
O 9.805 1.492 9.308
Si 7.436 7.901 5.673
O 5.700 4.123 3.263
O 1.790 5.054 19.504
Zn 13.567 2.412 22.215
O 6.529 7.581 4.342
Na 9.271 0.001 22.563
O 3.544 4.076 20.764
O 11.096 0.301 6.976
O 2.870 7.705 9.228
O 7.987 3.692 19.447
In 4.520 2.629 4.017
O 3.461 6.519 20.591
O 0.633 3.665 10.661
O 0.755 6.852 1.758
Zn 4.376 2.590 22.334
Na 3.026 5.417 1.802
O 0.600 1.460 9.339
O 10.330 1.496 18.251
Zn 4.291 2.626 11.043
O 3.941 0.963 14.484
Na 12.026 0.450 9.424
O 16.709 0.114 1.977
Na 12.507 5.202 9.361
Na -2.936 5.103 5.543
Si 5.933 4.951 1.851
O 7.440 0.089 2.016
O 13.131 1.197 20.720
S 1.394 7.656 9.419
O -0.948 1.465 20.588
O 11.921 7.758 15.679
O 6.421 2.518 11.885
O 8.571 6.982 19.368
O 10.915 5.147 12.996
O -1.238 3.679 19.494
O 7.320 0.115 18.133
Na 9.044 5.290 15.104
Na 1.747 2.834 5.669
S 5.984 0.291 1.834
In -0.183 5.182 11.783
O 5.139 6.025 18.298
S 10.604 7.656 9.287
O 5.138 6.428 1.897
S 17.003 2.382 5.603
Si 10.557 2.416 16.921
S 12.417 5.032 13.088
S 15.157 4.974 1.839
O 0.927 4.089 1.730
O 1.131 3.851 8.003
Zn 13.695 2.552 11.086
O 9.797 1.857 15.558
O 15.540 2.487 11.741
Na 15.325 0.242 20.564
O 2.617 2.963 3.234
Na -1.674 7.781 1.718
O 5.343 0.891 3.038
S 3.243 5.016 13.141
O 3.403 1.137 11.783
Zn 0.230 -0.024 19.120
O 15.559 2.859 14.485
O 12.718 6.511 4.361
Si 1.340 2.944 9.378
Na 10.318 7.920 5.604
O -0.536 6.760 13.055
Zn -0.036 5.271 18.474
O 8.597 6.697 12.960
O -3.640 6.366 15.796
O 0.516 1.813 15.688
O 6.176 7.753 20.628
O 15.453 2.858 20.818
Na 6.373 5.131 5.437
Na 2.934 4.907 16.985
In -0.022 5.236 0.303
O 9.984 6.966 1.761
S 11.898 5.304 20.685
O 2.718 2.355 0.545
O 8.054 1.341 13.182
O 16.552 0.110 18.133
O 3.750 6.322 6.873
O 0.578 3.925 17.150
O 6.429 2.780 14.337
Zn 9.386 0.271 7.800
O 1.762 5.397 5.690
Na 1.734 2.199 20.658
S 15.085 5.579 16.910
O 8.468 3.664 5.706
O 1.590 0.136 13.265
S 12.488 5.671 5.598
O 14.694 1.020 3.076
Na 13.603 2.591 7.530
O -0.801 1.690 4.484
O 6.328 2.536 5.553
O 11.930 3.065 3.183
O 13.177 4.351 5.500
O 10.273 3.934 8.010
O 5.305 4.248 0.526
O 7.540 5.408 17.019
Na 16.736 2.379 9.620
O -3.701 6.447 9.234
Na -1.618 2.879 16.785
O 10.360 6.839 10.520
O 8.378 1.645 4.462
O 12.979 4.450 11.841
O 13.041 6.361 6.794
O 1.851 0.260 6.963
O -0.792 3.427 21.885
O 3.904 1.137 20.809
O 14.815 4.091 9.434
O -1.234 6.640 22.069
Na 0.035 5.304 3.700
Na -0.189 5.187 15.041
O -1.790 5.200 1.850
O 14.888 4.203 3.071
O 7.268 5.574 10.511
Na 10.443 2.570 13.119
O 8.385 6.538 5.810
Na 10.853 2.208 20.627
Na 12.126 5.454 1.841
Na 2.820 0.396 9.502
S -2.801 5.267 9.353
In 0.118 0.063 3.400
O 8.212 3.770 13.064
Na 10.923 2.872 5.642
O 11.020 5.488 5.661
O 6.274 2.781 20.815
O 12.089 7.744 9.159
O 12.694 6.551 20.510
Na 1.150 2.560 13.186
O 5.485 6.435 9.222
O 8.028 1.536 6.889
Na 9.054 5.185 3.641
O 3.919 4.295 5.619
O 14.513 6.162 18.154
Na 5.729 5.334 20.694